(1)
Density functional theory data (PBE-GGA) for crystalline Rb2Ba8CaSb6O2 at its relaxed geometry.

Lattice parameters (Å, degrees): 9.320 9.966 10.508 116.99 115.80 93.50
Fractional positions:
1 Sb 0.753 0.722 0.484
2 Sb 0.861 0.723 0.060
3 Sb 0.340 0.254 0.541
4 Sb 0.625 0.106 0.011
5 Sb 0.383 0.892 0.001
6 Sb 0.082 0.330 0.933
7 Rb 0.044 0.036 0.059
8 Rb 0.494 0.492 0.002
9 Ba 0.796 0.023 0.339
10 Ba 0.197 0.982 0.679
11 Ba 0.495 0.690 0.690
12 Ba 0.068 0.491 0.673
13 Ba 0.512 0.317 0.301
14 Ba 0.683 0.056 0.698
15 Ba 0.279 0.773 0.261
16 Ba 0.968 0.518 0.259
17 O 0.776 0.312 0.519
18 O 0.254 0.741 0.483
19 Ca 0.754 0.412 0.744

Properties
energy of formation from the pure elements	-1230	meV per atom
symmetry	No. 1
magnetic moment	0.00	μB per atom
energy relative to the lowest polymorph listed for this composition	44	meV/atom

***

(2)
Density functional theory data (PBE-GGA) for crystalline Rb2Ba8CaSb6O2 at its relaxed geometry.

Lattice parameters (Å, degrees): 9.651 9.649 11.857 122.94 123.01 80.48
Fractional positions:
1 Ca 0.551 0.048 0.364
2 Ba 0.691 0.191 0.761
3 Ba 0.516 0.339 0.257
4 Ba 0.178 0.988 0.722
5 Ba 0.992 0.492 0.307
6 Ba 0.981 0.482 0.702
7 Ba 0.290 0.790 0.358
8 Ba 0.489 0.678 0.722
9 Ba 0.841 0.017 0.257
10 Sb 0.276 0.234 0.487
11 Sb 0.644 0.145 0.994
12 Sb 0.880 0.612 0.998
13 Sb 0.112 0.381 0.998
14 Sb 0.734 0.775 0.489
15 Sb 0.366 0.865 0.995
16 Rb 0.019 0.992 0.009
17 Rb 0.492 0.518 0.010
18 O 0.238 0.738 0.519
19 O 0.738 0.236 0.440

Properties
energy of formation from the pure elements	-1274	meV per atom
symmetry	No. 1
magnetic moment	0.00	μB per atom
energy relative to the lowest polymorph listed for this composition	0	meV/atom

***

(3)
Density functional theory data (PBE-GGA) for crystalline Rb2Ba8CaSb6O2 at its relaxed geometry.

Lattice parameters (Å, degrees): 9.475 9.259 10.482 113.95 114.29 95.11
Fractional positions:
1 O 0.772 0.271 0.532
2 O 0.258 0.763 0.506
3 Sb 0.220 0.227 0.429
4 Sb 0.406 0.879 0.013
5 Sb 0.619 0.145 0.013
6 Sb 0.825 0.641 0.023
7 Sb 0.208 0.396 0.024
8 Sb 0.776 0.773 0.538
9 Rb 0.004 0.008 0.000
10 Rb 0.413 0.412 0.813
11 Ba 0.827 0.039 0.326
12 Ba 0.993 0.546 0.741
13 Ba 0.759 0.206 0.739
14 Ba 0.513 0.300 0.326
15 Ba 0.026 0.488 0.293
16 Ba 0.198 0.987 0.701
17 Ba 0.508 0.722 0.693
18 Ba 0.273 0.824 0.293
19 Ca 0.589 0.593 0.171

Properties
energy of formation from the pure elements	-1267	meV per atom
symmetry	No. 1
magnetic moment	0.00	μB per atom
energy relative to the lowest polymorph listed for this composition	7	meV/atom

***

(4)
Density functional theory data (PBE-GGA) for crystalline Rb2Ba8CaSb6O2 at its relaxed geometry.

Lattice parameters (Å, degrees): 9.393 9.393 10.688 114.45 114.45 93.33
Fractional positions:
1 Ca 0.155 0.655 0.000
2 Ba 0.485 0.296 0.301
3 Ba 0.011 0.511 0.269
4 Ba 0.495 0.684 0.699
5 Ba 0.376 0.876 0.406
6 Ba 0.970 0.470 0.594
7 Ba 0.796 0.985 0.301
8 Ba 0.742 0.242 0.731
9 Ba 0.184 0.995 0.699
10 O 0.742 0.242 0.491
11 O 0.250 0.750 0.509
12 Sb 0.158 0.342 0.000
13 Sb 0.611 0.111 0.000
14 Sb 0.386 0.886 0.000
15 Sb 0.842 0.658 0.000
16 Sb 0.749 0.749 0.500
17 Sb 0.249 0.249 0.500
18 Rb 0.508 0.484 0.000
19 Rb 0.984 0.008 0.000

Properties
energy of formation from the pure elements	-1203	meV per atom
symmetry	No. 42
magnetic moment	0.00	μB per atom
energy relative to the lowest polymorph listed for this composition	71	meV/atom

***

(5)
Density functional theory data (PBE-GGA) for crystalline Ba2CaReO6 at its relaxed geometry.

Lattice parameters (Å, degrees): 5.991 5.991 5.991 60.00 60.00 60.00
Fractional positions:
1 O 0.729 0.729 0.271
2 O 0.729 0.271 0.271
3 O 0.271 0.271 0.729
4 O 0.271 0.729 0.271
5 O 0.729 0.271 0.729
6 O 0.271 0.729 0.729
7 Ca 0.000 0.000 0.000
8 Re 0.500 0.500 0.500
9 Ba 0.750 0.750 0.750
10 Ba 0.250 0.250 0.250

Properties
energy of formation from the pure elements	-2916	meV per atom
symmetry	No. 225
magnetic moment	0.10	μB per atom

***

(6)
Density functional theory data (PBE-GGA) for crystalline Ba2CaReO6 at its relaxed geometry.

Lattice parameters (Å, degrees): 5.997 5.997 5.997 120.17 120.17 89.71
Fractional positions:
1 O 0.793 0.250 0.044
2 O 0.750 0.793 0.543
3 O 0.207 0.750 0.956
4 O 0.771 0.771 0.000
5 O 0.229 0.229 0.000
6 O 0.250 0.207 0.457
7 Ba 0.750 0.250 0.500
8 Ba 0.250 0.750 0.500
9 Ca 0.500 0.500 0.000
10 Re 0.000 0.000 0.000

Properties
energy of formation from the pure elements	-2916	meV per atom
symmetry	No. 87

***

(7)
Density functional theory data (PBE-GGA) for crystalline Ba4CaRh4O12 at its relaxed geometry.

Lattice parameters (Å, degrees): 6.028 6.042 10.622 87.65 92.47 122.01
Fractional positions:
1 Ba 0.260 0.740 0.303
2 Ba 0.668 0.330 0.726
3 Ba 0.973 0.027 0.499
4 Ba 0.030 0.969 0.911
5 O 0.309 0.208 0.301
6 O 0.499 0.006 0.505
7 O 0.790 0.690 0.301
8 O 0.533 0.472 0.941
9 O 0.499 0.958 0.002
10 O 0.184 0.814 0.741
11 O 0.171 0.373 0.744
12 O 0.045 0.503 0.004
13 O 0.791 0.209 0.279
14 O 0.626 0.828 0.743
15 O 0.992 0.503 0.506
16 O 0.496 0.496 0.532
17 Rh 0.639 0.361 0.402
18 Rh 0.324 0.674 0.616
19 Rh 0.352 0.649 0.878
20 Rh 0.789 0.212 0.099
21 Ca 0.519 0.478 0.143

Properties
energy of formation from the pure elements	-1982	meV per atom
symmetry	No. 1
magnetic moment	0.09	μB per atom
energy relative to the lowest polymorph listed for this composition	56	meV/atom

***

(8)
Density functional theory data (PBE-GGA) for crystalline Ba4CaRh4O12 at its relaxed geometry.

Lattice parameters (Å, degrees): 5.963 5.778 10.470 90.00 99.82 118.98
Fractional positions:
1 Ca 0.171 0.086 0.840
2 Ba 0.055 0.028 0.472
3 Ba 0.762 0.381 0.735
4 Ba 0.890 0.945 0.082
5 Ba 0.286 0.643 0.238
6 O 0.630 0.567 0.521
7 O 0.329 0.164 0.268
8 O 0.719 0.859 0.791
9 O 0.762 0.611 0.256
10 O 0.762 0.151 0.256
11 O 0.857 0.429 0.018
12 O 0.370 0.435 0.004
13 O 0.271 0.865 0.710
14 O 0.271 0.406 0.710
15 O 0.108 0.554 0.455
16 O 0.630 0.063 0.521
17 O 0.370 0.935 0.004
18 Rh 0.687 0.343 0.393
19 Rh 0.379 0.690 0.869
20 Rh 0.426 0.713 0.599
21 Rh 0.576 0.288 0.120

Properties
energy of formation from the pure elements	-2038	meV per atom
symmetry	No. 8
magnetic moment	0.04	μB per atom
energy relative to the lowest polymorph listed for this composition	0	meV/atom